Entry 1:
GGA-PBE KEuPSe4, relaxed; ΔH_f (0 K) = -1.249 eV/atom; raw total energy = -5.374 eV/atom
1.0
6.9560 0.0000 0.0000
0.0000 7.0010 0.0000
-2.7110 0.0000 8.8510
K Eu P Se
2 2 2 8
Direct
0.2462 0.2500 0.4375
0.7538 0.7500 0.5625
0.2677 0.2500 0.9509
0.7323 0.7500 0.0491
0.2947 0.7500 0.1875
0.7053 0.2500 0.8125
0.0965 0.7500 0.3373
0.1200 0.7500 0.9434
0.4989 0.5028 0.7694
0.4989 0.9972 0.7694
0.5011 0.0028 0.2306
0.5011 0.4972 0.2306
0.8800 0.2500 0.0566
0.9035 0.2500 0.6627

=====

Entry 2:
GGA-PBE KEuPSe4, relaxed; ΔH_f (0 K) = -1.243 eV/atom; raw total energy = -5.368 eV/atom
1.0
17.6099 0.0000 0.0000
0.0000 7.0454 0.0000
0.0000 0.0000 6.9394
K Eu P Se
4 4 4 16
Direct
0.2135 0.2500 0.0235
0.2865 0.7500 0.5235
0.7135 0.2500 0.4765
0.7865 0.7500 0.9765
0.0246 0.7500 0.7106
0.4754 0.2500 0.2106
0.5246 0.7500 0.7894
0.9754 0.2500 0.2894
0.0966 0.7500 0.2209
0.4034 0.2500 0.7209
0.5966 0.7500 0.2791
0.9034 0.2500 0.7791
0.0277 0.2500 0.8525
0.1198 0.0044 0.4069
0.1198 0.4956 0.4069
0.1721 0.7500 0.9637
0.3279 0.2500 0.4637
0.3802 0.5044 0.9069
0.3802 0.9956 0.9069
0.4723 0.7500 0.3525
0.5277 0.2500 0.6475
0.6198 0.0044 0.0931
0.6198 0.4956 0.0931
0.6721 0.7500 0.5363
0.8279 0.2500 0.0363
0.8802 0.5044 0.5931
0.8802 0.9956 0.5931
0.9723 0.7500 0.1475

=====

Entry 3:
GGA-PBE KEuSiS4, relaxed; ΔH_f (0 K) = -1.538 eV/atom; raw total energy = -6.013 eV/atom
1.0
6.5757 0.0000 0.0000
0.0000 6.7361 0.0000
-2.6205 0.0000 8.3015
K Eu Si S
2 2 2 8
Direct
0.2283 0.0000 0.4333
0.7717 0.5000 0.5667
0.2648 0.9658 0.9454
0.7352 0.4658 0.0546
0.2826 0.5164 0.1775
0.7174 0.0164 0.8225
0.0809 0.5708 0.9381
0.0893 0.5180 0.3324
0.4676 0.2509 0.2014
0.4807 0.2443 0.7758
0.5193 0.7443 0.2242
0.5324 0.7509 0.7986
0.9107 0.0180 0.6676
0.9191 0.0708 0.0619

=====

Entry 4:
GGA-PBE K2EuSiSe5, relaxed; ΔH_f (0 K) = -1.355 eV/atom; raw total energy = -5.024 eV/atom
1.0
11.8794 0.0000 0.0000
0.0000 9.9688 0.0000
-0.3494 0.0000 9.0534
K Eu Si Se
8 4 4 20
Direct
0.0619 0.2000 0.0435
0.0619 0.3000 0.5435
0.1993 0.5584 0.8732
0.1993 0.9416 0.3732
0.8007 0.0584 0.6268
0.8007 0.4416 0.1268
0.9381 0.7000 0.4565
0.9381 0.8000 0.9565
0.4832 0.2286 0.1044
0.4832 0.2714 0.6044
0.5168 0.7286 0.3956
0.5168 0.7714 0.8956
0.2534 0.0218 0.7910
0.2534 0.4782 0.2910
0.7466 0.5218 0.7090
0.7466 0.9782 0.2090
0.0770 0.5134 0.1912
0.0770 0.9866 0.6912
0.2454 0.6237 0.4924
0.2454 0.8763 0.9924
0.2885 0.2406 0.8515
0.2885 0.2594 0.3515
0.4009 0.5364 0.1437
0.4009 0.9636 0.6437
0.4148 0.5643 0.6609
0.4148 0.9357 0.1609
0.5852 0.0643 0.8391
0.5852 0.4357 0.3391
0.5991 0.0364 0.3563
0.5991 0.4636 0.8563
0.7115 0.7406 0.6485
0.7115 0.7594 0.1485
0.7546 0.1237 0.0076
0.7546 0.3763 0.5076
0.9230 0.0134 0.3088
0.9230 0.4866 0.8088

=====

Entry 5:
GGA-PBE La3Eu, relaxed; ΔH_f (0 K) = 0.056 eV/atom; raw total energy = -6.211 eV/atom
1.0
-2.6567 2.6567 5.3650
2.6567 -2.6567 5.3650
2.6567 2.6567 -5.3650
La Eu
3 1
Direct
0.0000 0.0000 0.0000
0.2500 0.7500 0.5000
0.7500 0.2500 0.5000
0.5000 0.5000 0.0000

=====

Entry 6:
GGA-PBE La3Eu, relaxed; ΔH_f (0 K) = 0.077 eV/atom; raw total energy = -6.190 eV/atom
1.0
7.5561 0.0000 0.0000
-3.7781 6.5438 0.0000
0.0000 0.0000 5.9769
La Eu
6 2
Direct
0.1637 0.3275 0.2500
0.1637 0.8363 0.2500
0.3275 0.1637 0.7500
0.6725 0.8363 0.2500
0.8363 0.1637 0.7500
0.8363 0.6725 0.7500
0.3333 0.6667 0.7500
0.6667 0.3333 0.2500

=====

Entry 7:
GGA-PBE SrLaEuNbO6, relaxed; ΔH_f (0 K) = -3.406 eV/atom; raw total energy = -8.661 eV/atom
1.0
5.9036 0.0000 0.0000
-0.0041 6.0808 0.0000
-0.1009 -0.0322 8.4765
Sr La Eu Nb O
2 2 2 2 12
Direct
0.0128 0.0501 0.2499
0.9872 0.9499 0.7501
0.0000 0.5000 0.5000
0.5000 0.0000 0.0000
0.4837 0.5527 0.2514
0.5163 0.4473 0.7486
0.0000 0.5000 0.0000
0.5000 0.0000 0.5000
0.1129 0.5377 0.7738
0.1755 0.7784 0.0601
0.2215 0.8171 0.4460
0.2779 0.3188 0.0586
0.3279 0.2814 0.4389
0.3967 0.0455 0.7270
0.6033 0.9545 0.2730
0.6721 0.7186 0.5611
0.7221 0.6812 0.9414
0.7785 0.1829 0.5540
0.8245 0.2216 0.9399
0.8871 0.4623 0.2262

=====

Entry 8:
GGA-PBE SrLaEuNbO6, relaxed; ΔH_f (0 K) = -3.344 eV/atom; raw total energy = -8.599 eV/atom
1.0
8.5826 0.0000 0.0000
0.0000 8.5967 0.0000
0.0000 0.0000 8.6008
Sr La Eu Nb O
4 4 4 4 24
Direct
0.0000 0.0000 0.0000
0.0000 0.5000 0.0000
0.5000 0.0000 0.0000
0.5000 0.5000 0.5000
0.2501 0.2503 0.2497
0.2501 0.7497 0.7503
0.7499 0.2503 0.7503
0.7499 0.7497 0.2497
0.0000 0.0000 0.5000
0.0000 0.5000 0.5000
0.5000 0.0000 0.5000
0.5000 0.5000 0.0000
0.2497 0.2505 0.7507
0.2497 0.7495 0.2493
0.7503 0.2505 0.2493
0.7503 0.7495 0.7507
0.0215 0.1973 0.7914
0.0215 0.8027 0.2086
0.1960 0.2930 0.5211
0.1960 0.7070 0.4789
0.2082 0.4786 0.8023
0.2082 0.5214 0.1977
0.2932 0.0211 0.6957
0.2932 0.9789 0.3043
0.3026 0.2084 0.9783
0.3026 0.7916 0.0217
0.4788 0.3024 0.7080
0.4788 0.6976 0.2920
0.5212 0.3024 0.2920
0.5212 0.6976 0.7080
0.6974 0.2084 0.0217
0.6974 0.7916 0.9783
0.7068 0.0211 0.3043
0.7068 0.9789 0.6957
0.7918 0.4786 0.1977
0.7918 0.5214 0.8023
0.8040 0.2930 0.4789
0.8040 0.7070 0.5211
0.9785 0.1973 0.2086
0.9785 0.8027 0.7914

=====

Entry 9:
GGA-PBE SrLaEuNbO6, relaxed; ΔH_f (0 K) = -3.338 eV/atom; raw total energy = -8.593 eV/atom
1.0
5.9705 0.0000 0.0000
0.0000 5.9705 0.0000
0.0000 0.0000 8.7465
Sr La Eu Nb O
2 2 2 2 12
Direct
0.0000 0.0000 0.0000
0.5000 0.5000 0.0000
0.0000 0.5000 0.2501
0.5000 0.0000 0.7499
0.0000 0.0000 0.5000
0.5000 0.5000 0.5000
0.0000 0.5000 0.7486
0.5000 0.0000 0.2514
0.0000 0.5000 0.5161
0.0000 0.5000 0.9818
0.1497 0.8051 0.7474
0.1949 0.8503 0.2526
0.3051 0.3503 0.7474
0.3503 0.3051 0.2526
0.5000 0.0000 0.0182
0.5000 0.0000 0.4839
0.6497 0.6949 0.2526
0.6949 0.6497 0.7474
0.8051 0.1497 0.2526
0.8503 0.1949 0.7474

=====

Entry 10:
GGA-PBE SrLaEuNbO6, relaxed; ΔH_f (0 K) = -3.244 eV/atom; raw total energy = -8.499 eV/atom
1.0
0.0000 4.3368 4.3368
4.3368 0.0000 4.3368
4.3368 4.3368 0.0000
Sr La Eu Nb O
1 1 1 1 6
Direct
0.0000 0.0000 0.0000
0.2500 0.2500 0.2500
0.5000 0.5000 0.5000
0.7500 0.7500 0.7500
0.5185 0.5185 0.9815
0.5185 0.9815 0.5185
0.5185 0.9815 0.9815
0.9815 0.5185 0.5185
0.9815 0.5185 0.9815
0.9815 0.9815 0.5185

=====

Entry 11:
GGA-PBE LaEu2SbO6, relaxed; ΔH_f (0 K) = -2.886 eV/atom; raw total energy = -8.400 eV/atom
1.0
0.0000 4.3118 4.3118
4.3118 0.0000 4.3118
4.3118 4.3118 0.0000
La Eu Sb O
1 2 1 6
Direct
0.0000 0.0000 0.0000
0.2500 0.2500 0.2500
0.7500 0.7500 0.7500
0.5000 0.5000 0.5000
0.2686 0.2686 0.7314
0.2686 0.7314 0.2686
0.2686 0.7314 0.7314
0.7314 0.2686 0.2686
0.7314 0.2686 0.7314
0.7314 0.7314 0.2686

=====

Entry 12:
GGA-PBE LaEu2SbO6, relaxed; ΔH_f (0 K) = -2.961 eV/atom; raw total energy = -8.476 eV/atom
1.0
8.5392 0.0000 0.0000
0.0000 8.5392 0.0000
0.0000 0.0000 8.5392
La Eu Sb O
4 8 4 24
Direct
0.0000 0.0000 0.0000
0.0000 0.5000 0.5000
0.5000 0.0000 0.5000
0.5000 0.5000 0.0000
0.2500 0.2500 0.2500
0.2500 0.2500 0.7500
0.2500 0.7500 0.2500
0.2500 0.7500 0.7500
0.7500 0.2500 0.2500
0.7500 0.2500 0.7500
0.7500 0.7500 0.2500
0.7500 0.7500 0.7500
0.0000 0.0000 0.5000
0.0000 0.5000 0.0000
0.5000 0.0000 0.0000
0.5000 0.5000 0.5000
0.0381 0.5475 0.7711
0.0381 0.9525 0.7289
0.0475 0.2289 0.5381
0.0475 0.2711 0.9619
0.2289 0.5381 0.0475
0.2289 0.9619 0.4525
0.2711 0.5381 0.4525
0.2711 0.9619 0.0475
0.4525 0.2289 0.9619
0.4525 0.2711 0.5381
0.4619 0.5475 0.7289
0.4619 0.9525 0.7711
0.5381 0.0475 0.2289
0.5381 0.4525 0.2711
0.5475 0.7289 0.4619
0.5475 0.7711 0.0381
0.7289 0.0381 0.9525
0.7289 0.4619 0.5475
0.7711 0.0381 0.5475
0.7711 0.4619 0.9525
0.9525 0.7289 0.0381
0.9525 0.7711 0.4619
0.9619 0.0475 0.2711
0.9619 0.4525 0.2289

=====

Q: The lowest raw total energy belongs to which entry?
A: number 7

=====

Q: What is the raw total energy in the eleventh record?
A: -8.400 eV/atom